No. 1
A relaxed structure of BaP3H10C3NO9, computed with GGA-PBE.

a = 7.7570 Å, b = 8.7231 Å, c = 9.1524 Å
α = 102.13°, β = 95.46°, γ = 106.15°
With the nearest neighbours (Å) after each atom.
Sites, in units of the cell vectors:
Ba 0.1105 0.2754 0.4441  7 O 2.72-3.02
Ba 0.8895 0.7246 0.5559  7 O 2.72-3.02
P 0.0099 0.1065 0.8127  3 O 1.51-1.59
P 0.2889 0.6628 0.8191  3 O 1.51-1.60
P 0.3688 0.6853 0.4068  3 O 1.51-1.59
P 0.6312 0.3147 0.5932  3 O 1.51-1.59
P 0.7111 0.3372 0.1809  3 O 1.51-1.60
P 0.9901 0.8935 0.1873  3 O 1.51-1.59
H 0.0250 0.6609 0.0128  1 C 1.10
H 0.0614 0.6384 0.2047  1 C 1.10
H 0.1674 0.1195 0.0300  1 O 1.03
H 0.2904 0.5443 0.0395  1 C 1.10
H 0.3100 0.8961 0.0991  1 N 1.04
H 0.3741 0.9433 0.3537  1 C 1.10
H 0.4558 0.1314 0.7277  1 C 1.10
H 0.4872 0.8004 0.7004  1 O 1.02
H 0.4989 0.4959 0.7132  1 O 1.05
H 0.4986 0.6995 0.0460  1 C 1.10
H 0.5014 0.3005 0.9540  1 C 1.10
H 0.5011 0.5041 0.2868  1 O 1.05
H 0.5128 0.1996 0.2996  1 O 1.02
H 0.5442 0.8686 0.2723  1 C 1.10
H 0.6259 0.0567 0.6463  1 C 1.10
H 0.6900 0.1039 0.9009  1 N 1.04
H 0.7096 0.4557 0.9605  1 C 1.10
H 0.8326 0.8805 0.9700  1 O 1.03
H 0.9386 0.3616 0.7953  1 C 1.10
H 0.9750 0.3391 0.9872  1 C 1.10
C 0.0864 0.7236 0.1308  2 H 1.10
C 0.3497 0.6664 0.0201  2 H 1.10
C 0.4013 0.8338 0.2882  2 H 1.10
C 0.5987 0.1662 0.7118  2 H 1.10
C 0.6503 0.3336 0.9799  2 H 1.10
C 0.9136 0.2764 0.8692  2 H 1.10
N 0.2885 0.7861 0.1320  1 H 1.04
N 0.7115 0.2139 0.8680  1 H 1.04
O 0.0560 0.0944 0.6554  1 P 1.51
O 0.1028 0.6840 0.7933  1 P 1.51
O 0.1319 0.0477 0.1693  1 P 1.53, 1 H 1.55
O 0.1834 0.6547 0.4542  1 P 1.51
O 0.1906 0.1582 0.9329  1 H 1.03
O 0.3132 0.5030 0.7293  1 H 1.48, 1 P 1.53
O 0.3726 0.5144 0.3052  1 H 1.05
O 0.4476 0.8182 0.8042  1 H 1.02
O 0.4649 0.2374 0.4684  1 P 1.53, 1 H 1.61
O 0.5351 0.7626 0.5316  1 P 1.53, 1 H 1.61
O 0.5524 0.1818 0.1958  1 H 1.02
O 0.6274 0.4856 0.6948  1 H 1.05
O 0.6868 0.4970 0.2707  1 H 1.48, 1 P 1.53
O 0.8094 0.8418 0.0671  1 H 1.03
O 0.8166 0.3453 0.5458  1 P 1.51
O 0.8681 0.9523 0.8307  1 P 1.53, 1 H 1.55
O 0.8972 0.3160 0.2067  1 P 1.51
O 0.9440 0.9056 0.3446  1 P 1.51

Computed properties:
- Uncorrected energy: -330.92 eV for the cell shown


No. 2
A relaxed structure of KCrCl3, computed with GGA-PBE.

a = 4.9779 Å, b = 4.9779 Å, c = 4.9706 Å
α = 90.00°, β = 90.00°, γ = 90.00°
With the nearest neighbours (Å) after each atom.
Sites, in units of the cell vectors:
K 0.0000 0.0000 0.0000  12 Cl 3.48-3.56
Cr 0.5000 0.5000 0.4883  6 Cl 2.49
Cl 0.0000 0.5000 0.4886  2 Cr 2.49
Cl 0.5000 0.0000 0.4886  2 Cr 2.49
Cl 0.5000 0.5000 0.9883  2 Cr 2.49

Computed properties:
- Uncorrected energy: -23.12 eV for the cell shown


No. 3
A relaxed structure of SrCaO3, computed with GGA-PBE.

a = 4.3763 Å, b = 4.3763 Å, c = 4.3763 Å
α = 90.00°, β = 90.00°, γ = 90.00°
With the nearest neighbours (Å) after each atom.
Sites, in units of the cell vectors:
Sr 0.0000 0.0000 0.0000  12 O 3.09
Ca 0.5000 0.5000 0.5000  6 O 2.19
O 0.0000 0.5000 0.5000  2 Ca 2.19
O 0.5000 0.0000 0.5000  2 Ca 2.19
O 0.5000 0.5000 0.0000  2 Ca 2.19

Computed properties:
- Uncorrected energy: -27.37 eV for the cell shown


No. 4
A relaxed structure of BaB8O13, computed with GGA-PBE.

a = 8.7552 Å, b = 8.7552 Å, c = 13.3332 Å
α = 90.00°, β = 90.00°, γ = 90.00°
With the nearest neighbours (Å) after each atom.
Sites, in units of the cell vectors:
Ba 0.0000 0.4607 0.0000  6 O 2.71-3.01
Ba 0.0000 0.5393 0.5000  6 O 2.71-3.01
Ba 0.4607 0.0000 0.7500  6 O 2.71-3.01
Ba 0.5393 0.0000 0.2500  6 O 2.71-3.01
B 0.0702 0.2186 0.7480  3 O 1.37-1.40
B 0.0702 0.7814 0.7520  3 O 1.37-1.40
B 0.1296 0.1296 0.3750  4 O 1.48-1.51
B 0.1296 0.8704 0.1250  4 O 1.48-1.51
B 0.1930 0.2625 0.2168  3 O 1.36-1.40
B 0.1930 0.7375 0.2832  3 O 1.36-1.40
B 0.2186 0.0702 0.0020  3 O 1.37-1.40
B 0.2186 0.9298 0.4980  3 O 1.37-1.40
B 0.2625 0.1930 0.5332  3 O 1.36-1.40
B 0.2625 0.8070 0.9668  3 O 1.36-1.40
B 0.2821 0.2821 0.8750  4 O 1.47-1.50
B 0.2821 0.7179 0.6250  4 O 1.47-1.50
B 0.3671 0.4429 0.6101  3 O 1.36-1.38
B 0.3671 0.5571 0.8899  3 O 1.36-1.38
B 0.4429 0.3671 0.1399  3 O 1.36-1.38
B 0.4429 0.6329 0.3601  3 O 1.36-1.38
B 0.5571 0.3671 0.8601  3 O 1.36-1.38
B 0.5571 0.6329 0.6399  3 O 1.36-1.38
B 0.6329 0.4429 0.3899  3 O 1.36-1.38
B 0.6329 0.5571 0.1101  3 O 1.36-1.38
B 0.7179 0.2821 0.1250  4 O 1.47-1.50
B 0.7179 0.7179 0.3750  4 O 1.47-1.50
B 0.7375 0.1930 0.4668  3 O 1.36-1.40
B 0.7375 0.8070 0.0332  3 O 1.36-1.40
B 0.7814 0.0702 0.9980  3 O 1.37-1.40
B 0.7814 0.9298 0.5020  3 O 1.37-1.40
B 0.8070 0.2625 0.7832  3 O 1.36-1.40
B 0.8070 0.7375 0.7168  3 O 1.36-1.40
B 0.8704 0.1296 0.6250  4 O 1.48-1.51
B 0.8704 0.8704 0.8750  4 O 1.48-1.51
B 0.9298 0.2186 0.2520  3 O 1.37-1.40
B 0.9298 0.7814 0.2480  3 O 1.37-1.40
O 0.0292 0.1507 0.6599  2 B 1.37-1.48
O 0.0292 0.8493 0.8401  2 B 1.37-1.48
O 0.0404 0.2997 0.1975  2 B 1.40
O 0.0404 0.7003 0.3025  2 B 1.40
O 0.1507 0.0292 0.0901  2 B 1.37-1.48
O 0.1507 0.9708 0.4099  2 B 1.37-1.48
O 0.1667 0.2391 0.4586  2 B 1.36-1.51
O 0.1667 0.7609 0.0414  2 B 1.36-1.51
O 0.2137 0.2173 0.9665  2 B 1.37-1.47
O 0.2137 0.7827 0.5335  2 B 1.37-1.47
O 0.2173 0.2137 0.7835  2 B 1.37-1.47
O 0.2173 0.7863 0.7165  2 B 1.37-1.47
O 0.2391 0.1667 0.2914  2 B 1.36-1.51
O 0.2391 0.8333 0.2086  2 B 1.36-1.51
O 0.2531 0.4508 0.8829  2 B 1.37-1.50
O 0.2531 0.5492 0.6171  2 B 1.37-1.50
O 0.2917 0.3432 0.1573  2 B 1.36-1.37
O 0.2917 0.6568 0.3427  2 B 1.36-1.37
O 0.2997 0.0404 0.5525  2 B 1.40
O 0.2997 0.9596 0.9475  2 B 1.40
O 0.3432 0.2917 0.5927  2 B 1.36-1.37
O 0.3432 0.7083 0.9073  2 B 1.36-1.37
O 0.4508 0.2531 0.8671  2 B 1.37-1.50
O 0.4508 0.7469 0.6329  2 B 1.37-1.50
O 0.4818 0.4818 0.3750  2 B 1.38
O 0.4818 0.5182 0.1250  2 B 1.38
O 0.5182 0.4818 0.6250  2 B 1.38
O 0.5182 0.5182 0.8750  2 B 1.38
O 0.5492 0.2531 0.1329  2 B 1.37-1.50
O 0.5492 0.7469 0.3671  2 B 1.37-1.50
O 0.6568 0.2917 0.4073  2 B 1.36-1.37
O 0.6568 0.7083 0.0927  2 B 1.36-1.37
O 0.7003 0.0404 0.4475  2 B 1.40
O 0.7003 0.9596 0.0525  2 B 1.40
O 0.7083 0.3432 0.8427  2 B 1.36-1.37
O 0.7083 0.6568 0.6573  2 B 1.36-1.37
O 0.7469 0.4508 0.1171  2 B 1.37-1.50
O 0.7469 0.5492 0.3829  2 B 1.37-1.50
O 0.7609 0.1667 0.7086  2 B 1.36-1.51
O 0.7609 0.8333 0.7914  2 B 1.36-1.51
O 0.7827 0.2137 0.2165  2 B 1.37-1.47
O 0.7827 0.7863 0.2835  2 B 1.37-1.47
O 0.7863 0.2173 0.0335  2 B 1.37-1.47
O 0.7863 0.7827 0.4665  2 B 1.37-1.47
O 0.8333 0.2391 0.5414  2 B 1.36-1.51
O 0.8333 0.7609 0.9586  2 B 1.36-1.51
O 0.8493 0.0292 0.9099  2 B 1.37-1.48
O 0.8493 0.9708 0.5901  2 B 1.37-1.48
O 0.9596 0.2997 0.8025  2 B 1.40
O 0.9596 0.7003 0.6975  2 B 1.40
O 0.9708 0.1507 0.3401  2 B 1.37-1.48
O 0.9708 0.8493 0.1599  2 B 1.37-1.48

Computed properties:
- Uncorrected energy: -702.09 eV for the cell shown


No. 5
A relaxed structure of NpAg3, computed with GGA-PBE.

a = 5.3290 Å, b = 5.3290 Å, c = 5.3290 Å
α = 129.80°, β = 129.80°, γ = 73.72°
With the nearest neighbours (Å) after each atom.
Sites, in units of the cell vectors:
Np 0.0000 0.0000 0.0000  12 Ag 3.11-3.20
Ag 0.2500 0.7500 0.5000  4 Np 3.11, 8 Ag 3.11-3.20
Ag 0.5000 0.5000 0.0000  8 Ag 3.11, 4 Np 3.20
Ag 0.7500 0.2500 0.5000  4 Np 3.11, 8 Ag 3.11-3.20

Computed properties:
- Uncorrected energy: -20.09 eV for the cell shown


No. 6
A relaxed structure of Y2Co3Si5, computed with GGA-PBE.

a = 7.8814 Å, b = 7.8814 Å, c = 7.8814 Å
α = 105.63°, β = 88.72°, γ = 138.85°
With the nearest neighbours (Å) after each atom.
Sites, in units of the cell vectors:
Y 0.1338 0.2338 0.3676  10 Si 2.84-3.08, 3 Co 2.98-3.02
Y 0.3662 0.7338 0.0999  10 Si 2.84-3.08, 3 Co 2.98-3.02
Y 0.6338 0.2662 0.9001  10 Si 2.84-3.08, 3 Co 2.98-3.02
Y 0.8662 0.7662 0.6324  10 Si 2.84-3.08, 3 Co 2.98-3.02
Co 0.1379 0.8919 0.0298  5 Si 2.27-2.32
Co 0.2500 0.7500 0.5000  6 Si 2.34-2.55
Co 0.3621 0.3919 0.7541  5 Si 2.27-2.32
Co 0.6379 0.6081 0.2459  5 Si 2.27-2.32
Co 0.7500 0.2500 0.5000  6 Si 2.34-2.55
Co 0.8621 0.1081 0.9702  5 Si 2.27-2.32
Si 0.0236 0.7500 0.2736  3 Co 2.31-2.55, 2 Si 2.49
Si 0.1007 0.6582 0.7588  3 Co 2.27-2.34, 2 Si 2.49
Si 0.2500 0.2500 0.0000  4 Co 2.32
Si 0.3993 0.1582 0.5575  3 Co 2.27-2.34, 2 Si 2.49
Si 0.4764 0.7500 0.7264  3 Co 2.31-2.55, 2 Si 2.49
Si 0.5236 0.2500 0.2736  3 Co 2.31-2.55, 2 Si 2.49
Si 0.6007 0.8418 0.4425  3 Co 2.27-2.34, 2 Si 2.49
Si 0.7500 0.7500 0.0000  4 Co 2.32
Si 0.8993 0.3418 0.2412  3 Co 2.27-2.34, 2 Si 2.49
Si 0.9764 0.2500 0.7264  3 Co 2.31-2.55, 2 Si 2.49

Computed properties:
- Offset from the most stable computed form: 4 meV/atom


No. 7
A relaxed structure of BaTi2O5, computed with GGA-PBE.

a = 10.5230 Å, b = 3.9453 Å, c = 11.0094 Å
α = 90.00°, β = 90.00°, γ = 90.00°
With the nearest neighbours (Å) after each atom.
Sites, in units of the cell vectors:
Ba 0.0509 0.2500 0.1782  8 O 2.77-3.06
Ba 0.4491 0.7500 0.6782  8 O 2.77-3.06
Ba 0.5509 0.2500 0.3218  8 O 2.77-3.06
Ba 0.9491 0.7500 0.8218  8 O 2.77-3.06
Ti 0.1479 0.2500 0.5927  2 O 1.75-1.88
Ti 0.2357 0.7500 0.3977  2 O 1.76-1.95
Ti 0.2643 0.2500 0.8977  2 O 1.76-1.95
Ti 0.3521 0.7500 0.0927  2 O 1.75-1.88
Ti 0.6479 0.2500 0.9073  2 O 1.75-1.88
Ti 0.7357 0.7500 0.1023  2 O 1.76-1.95
Ti 0.7643 0.2500 0.6023  2 O 1.76-1.95
Ti 0.8521 0.7500 0.4073  2 O 1.75-1.88
O 0.0074 0.7500 0.3501  1 Ti 1.75
O 0.0996 0.2500 0.9243  1 Ti 1.76
O 0.1754 0.7500 0.5690  3 Ti 1.99-2.01
O 0.1993 0.2500 0.4168  3 Ti 2.01-2.02
O 0.2342 0.7500 0.2206  2 Ti 1.88-1.95
O 0.2658 0.2500 0.7206  2 Ti 1.88-1.95
O 0.3007 0.7500 0.9168  3 Ti 2.01-2.02
O 0.3246 0.2500 0.0690  3 Ti 1.99-2.01
O 0.4004 0.7500 0.4243  1 Ti 1.76
O 0.4926 0.2500 0.8501  1 Ti 1.75
O 0.5074 0.7500 0.1499  1 Ti 1.75
O 0.5996 0.2500 0.5757  1 Ti 1.76
O 0.6754 0.7500 0.9310  3 Ti 1.99-2.01
O 0.6993 0.2500 0.0832  3 Ti 2.01-2.02
O 0.7342 0.7500 0.2794  2 Ti 1.88-1.95
O 0.7658 0.2500 0.7794  2 Ti 1.88-1.95
O 0.8007 0.7500 0.5832  3 Ti 2.01-2.02
O 0.8246 0.2500 0.4310  3 Ti 1.99-2.01
O 0.9004 0.7500 0.0757  1 Ti 1.76
O 0.9926 0.2500 0.6499  1 Ti 1.75

Computed properties:
- Offset from the most stable computed form: 0 meV/atom


Calculated volume in Å³/cell, matching the order above: 573.7; 123.2; 83.8; 1022.0; 87.1; 297.4; 457.1